Li4VCr3O8, optimized geometry, DFT PBE with a Hubbard U; magnetic moment = 0.437 μB/atom; SG = No. 10; ΔE_f = -2.425 eV/atom; energy relative to the lowest polymorph listed for this composition = 0.1 kJ per mole of atoms; crystal system = monoclinic
1.0
-1.2663 4.1451 4.0876
4.9458 2.9723 -1.4787
-4.3502 4.3348 -5.7413
Li V Cr O
8 2 6 16
Cartesian
0.0000 0.0000 0.0000
0.2978 3.6536 -3.6100
-0.6331 2.0726 2.0438
-0.3354 5.7261 -1.5662
-0.1726 2.8765 -0.7757
0.1273 6.5267 -4.3817
-0.4981 8.5758 -2.3567
-0.7980 4.9255 1.2493
2.4729 1.4862 -0.7393
-2.1751 2.1674 -2.8707
-2.8082 4.2400 -0.8268
1.8398 3.5587 1.3045
-2.3396 5.0353 -3.6557
2.3023 4.3457 -1.5183
1.6689 6.4169 0.5233
-2.9730 7.1065 -1.6142
2.4790 8.1811 1.1575
-2.1583 8.8579 -0.9652
-3.1497 3.2711 -4.2899
1.4876 2.5944 -2.1672
3.0998 6.1133 -0.8942
-1.5504 6.7988 -3.0300
-3.7705 5.3389 -2.2382
0.8797 4.6534 -0.1024
1.3261 5.4540 -2.9179
-3.3275 6.1322 -5.0565
-1.3703 3.9552 -2.2320
3.2863 3.2688 -0.1010
0.6996 7.4970 -0.9004
-3.9570 8.1834 -3.0314
-1.9968 5.9982 -0.2145
2.6568 5.3200 1.9241